Entry 1:
A relaxed structure of NaLi9Fe10Si20O60, computed with PBE with a Hubbard U.

a b c (Å): 9.496 9.496 15.722
angles (deg): 108.37 108.37 55.07
Positions (direct):
Na1 0.000 0.000 0.000
Li1 0.053 0.947 0.500
Li2 0.225 0.175 0.800
Li3 0.253 0.147 0.300
Li4 0.425 0.375 0.600
Li5 0.453 0.347 0.100
Li6 0.625 0.575 0.400
Li7 0.653 0.547 0.900
Li8 0.825 0.775 0.200
Li9 0.853 0.747 0.700
Fe1 0.089 0.711 0.101
Fe2 0.190 0.409 0.200
Fe3 0.289 0.911 0.899
Fe4 0.390 0.610 0.000
Fe5 0.487 0.112 0.700
Fe6 0.591 0.810 0.800
Fe7 0.688 0.312 0.500
Fe8 0.790 0.010 0.600
Fe9 0.888 0.513 0.300
Fe10 0.990 0.210 0.400
Si1 0.025 0.624 0.879
Si2 0.054 0.296 0.621
Si3 0.104 0.346 0.979
Si4 0.173 0.776 0.321
Si5 0.224 0.827 0.679
Si6 0.254 0.496 0.421
Si7 0.304 0.546 0.779
Si8 0.376 0.975 0.121
Si9 0.424 0.026 0.479
Si10 0.454 0.696 0.221
Si11 0.504 0.746 0.579
Si12 0.573 0.176 0.920
Si13 0.624 0.227 0.280
Si14 0.654 0.896 0.021
Si15 0.704 0.946 0.379
Si16 0.773 0.376 0.720
Si17 0.824 0.427 0.080
Si18 0.853 0.096 0.818
Si19 0.904 0.147 0.182
Si20 0.974 0.576 0.521
O1 0.026 0.963 0.638
O2 0.036 0.455 0.897
O3 0.037 0.974 0.362
O4 0.040 0.464 0.602
O5 0.042 0.947 0.144
O6 0.053 0.958 0.856
O7 0.093 0.686 0.226
O8 0.118 0.698 0.974
O9 0.135 0.559 0.797
O10 0.142 0.562 0.502
O11 0.165 0.414 0.326
O12 0.185 0.434 0.074
O13 0.227 0.163 0.438
O14 0.237 0.172 0.162
O15 0.238 0.657 0.698
O16 0.240 0.665 0.402
O17 0.241 0.148 0.938
O18 0.251 0.159 0.662
O19 0.302 0.882 0.026
O20 0.314 0.907 0.774
O21 0.335 0.760 0.598
O22 0.343 0.762 0.302
O23 0.366 0.614 0.126
O24 0.386 0.634 0.874
O25 0.426 0.363 0.238
O26 0.438 0.373 0.962
O27 0.438 0.858 0.498
O28 0.441 0.348 0.738
O29 0.441 0.865 0.203
O30 0.451 0.359 0.462
O31 0.492 0.087 0.826
O32 0.512 0.108 0.574
O33 0.536 0.960 0.398
O34 0.545 0.964 0.103
O35 0.566 0.815 0.926
O36 0.586 0.835 0.674
O37 0.627 0.562 0.038
O38 0.637 0.574 0.762
O39 0.638 0.057 0.298
O40 0.641 0.549 0.538
O41 0.642 0.064 0.002
O42 0.652 0.559 0.262
O43 0.692 0.288 0.626
O44 0.712 0.308 0.374
O45 0.734 0.161 0.198
O46 0.741 0.162 0.900
O47 0.764 0.015 0.725
O48 0.786 0.035 0.474
O49 0.828 0.763 0.838
O50 0.837 0.773 0.562
O51 0.838 0.259 0.100
O52 0.839 0.266 0.802
O53 0.841 0.749 0.338
O54 0.852 0.759 0.062
O55 0.892 0.488 0.426
O56 0.913 0.508 0.174
O57 0.936 0.358 0.998
O58 0.943 0.362 0.702
O59 0.965 0.214 0.526
O60 0.985 0.236 0.275

- E (MP2020) (eV per formula unit) = -783.73
- calculated formation energy (eV per atom) = -2.7514

=====

Entry 2:
A relaxed structure of LiFeSi3O8, computed with PBE with a Hubbard U.

a b c (Å): 7.111 7.699 7.700
angles (deg): 117.68 96.76 109.31
Positions (direct):
Li1 0.146 0.269 0.273
Li2 0.854 0.731 0.727
Fe1 0.367 0.547 0.790
Fe2 0.633 0.453 0.210
Si1 0.196 0.145 0.849
Si2 0.241 0.844 0.207
Si3 0.293 0.773 0.567
Si4 0.707 0.227 0.433
Si5 0.759 0.156 0.793
Si6 0.804 0.855 0.151
O1 0.055 0.918 0.167
O2 0.180 0.894 0.730
O3 0.191 0.729 0.341
O4 0.255 0.682 0.989
O5 0.258 0.543 0.545
O6 0.282 0.262 0.728
O7 0.331 0.286 0.096
O8 0.455 0.072 0.345
O9 0.545 0.928 0.655
O10 0.669 0.714 0.904
O11 0.718 0.738 0.272
O12 0.742 0.457 0.455
O13 0.745 0.318 0.011
O14 0.809 0.271 0.659
O15 0.820 0.106 0.270
O16 0.945 0.082 0.833

- E (MP2020) (eV per formula unit) = -103.24
- polymorph energy (0 for the lowest one) (kJ per mole of atoms) = 0.0
- calculated formation energy (eV per atom) = -2.8463

=====

Entry 3:
A relaxed structure of Li9Co7O16, computed with PBE with a Hubbard U.

a b c (Å): 2.999 5.973 16.038
angles (deg): 88.95 89.92 88.74
Positions (direct):
Li1 0.000 0.000 0.000
Li2 0.000 0.000 0.500
Li3 0.000 0.500 0.000
Li4 0.003 0.500 0.249
Li5 0.499 0.250 0.375
Li6 0.499 0.256 0.877
Li7 0.501 0.744 0.123
Li8 0.501 0.750 0.625
Li9 0.997 0.500 0.751
Co1 0.000 0.500 0.500
Co2 0.003 0.999 0.751
Co3 0.498 0.261 0.121
Co4 0.499 0.249 0.625
Co5 0.501 0.751 0.375
Co6 0.502 0.739 0.879
Co7 0.997 0.001 0.249
O1 0.006 0.007 0.630
O2 0.007 0.509 0.379
O3 0.035 0.480 0.125
O4 0.040 0.988 0.871
O5 0.491 0.238 0.241
O6 0.494 0.741 0.495
O7 0.499 0.240 0.745
O8 0.499 0.247 0.012
O9 0.501 0.753 0.988
O10 0.501 0.760 0.255
O11 0.506 0.259 0.505
O12 0.509 0.762 0.759
O13 0.960 0.012 0.129
O14 0.965 0.520 0.875
O15 0.993 0.491 0.621
O16 0.994 0.993 0.370

- E (MP2020) (eV per formula unit) = -199.31
- polymorph energy (0 for the lowest one) (kJ per mole of atoms) = 8.9
- calculated formation energy (eV per atom) = -1.6628

=====

Entry 4:
A relaxed structure of Li9Mn2Co5O16, computed with PBE with a Hubbard U.

a b c (Å): 3.030 5.138 19.588
angles (deg): 91.17 93.07 104.54
Positions (direct):
Li1 0.000 0.000 0.000
Li2 0.069 0.310 0.814
Li3 0.180 0.934 0.438
Li4 0.314 0.570 0.063
Li5 0.435 0.186 0.689
Li6 0.565 0.814 0.311
Li7 0.686 0.430 0.937
Li8 0.820 0.066 0.562
Li9 0.931 0.690 0.186
Mn1 0.122 0.625 0.626
Mn2 0.878 0.375 0.374
Co1 0.244 0.251 0.247
Co2 0.381 0.880 0.881
Co3 0.500 0.500 0.500
Co4 0.619 0.120 0.119
Co5 0.756 0.749 0.753
O1 0.044 0.130 0.904
O2 0.111 0.486 0.718
O3 0.131 0.762 0.534
O4 0.191 0.108 0.339
O5 0.304 0.384 0.158
O6 0.340 0.724 0.959
O7 0.390 0.006 0.788
O8 0.435 0.357 0.591
O9 0.565 0.643 0.409
O10 0.610 0.994 0.212
O11 0.660 0.276 0.041
O12 0.696 0.616 0.842
O13 0.809 0.892 0.661
O14 0.869 0.238 0.466
O15 0.889 0.514 0.282
O16 0.956 0.870 0.096

- E (MP2020) (eV per formula unit) = -207.37
- polymorph energy (0 for the lowest one) (kJ per mole of atoms) = 7.5
- calculated formation energy (eV per atom) = -1.7860

=====

Q: Look up the calculated formation energy of the third one.
A: -1.6628 eV per atom